1.
This record from the Materials Project describes an optimized crystal structure of CeBPt2. The functional is GGA-PBE.

a b c (Å): 5.4845 5.4845 7.9606
angles (deg): 90.00 90.00 120.00
Fractional coordinates of all 12 atoms:
1 Ce 0.5000 0.5000 0.6667
2 Ce 0.5000 0.0000 0.3333
3 Ce 0.0000 0.5000 0.0000
4 B 0.5000 0.0000 0.8333
5 B 0.5000 0.5000 0.1667
6 B 0.0000 0.5000 0.5000
7 Pt 0.8482 0.6964 0.3333
8 Pt 0.1518 0.8482 0.6667
9 Pt 0.3036 0.1518 0.0000
10 Pt 0.8482 0.1518 0.6667
11 Pt 0.6964 0.8482 0.0000
12 Pt 0.1518 0.3036 0.3333

Output
- energy relative to the elements (meV/atom) = -867.9
- volume (Å³ per cell) = 207.4

2.
This record from the Materials Project describes an optimized crystal structure of AsSeCl3F6. The functional is GGA-PBE.

a b c (Å): 9.6116 7.8935 12.2022
angles (deg): 81.62 90.00 90.00
Fractional coordinates of all 44 atoms:
1 As 0.2633 0.8119 0.0719
2 As 0.7367 0.1881 0.9281
3 As 0.2367 0.8119 0.5719
4 As 0.7633 0.1881 0.4281
5 Se 0.1788 0.1868 0.3048
6 Se 0.8212 0.8132 0.6952
7 Se 0.3212 0.1868 0.8048
8 Se 0.6788 0.8132 0.1952
9 Cl 0.5618 0.7161 0.3402
10 Cl 0.1131 0.2153 0.7423
11 Cl 0.6131 0.7847 0.7577
12 Cl 0.8869 0.7847 0.2577
13 Cl 0.4382 0.2839 0.6598
14 Cl 0.1726 0.4022 0.3935
15 Cl 0.0618 0.2839 0.1598
16 Cl 0.3869 0.2153 0.2423
17 Cl 0.9382 0.7161 0.8402
18 Cl 0.8274 0.5978 0.6065
19 Cl 0.6726 0.5978 0.1065
20 Cl 0.3274 0.4022 0.8935
21 F 0.2846 0.0168 0.4979
22 F 0.7846 0.9832 0.0021
23 F 0.0707 0.9000 0.6008
24 F 0.3315 0.7558 0.9472
25 F 0.9010 0.2719 0.9558
26 F 0.2154 0.0168 0.9979
27 F 0.1857 0.6128 0.6455
28 F 0.6685 0.2442 0.0528
29 F 0.6857 0.3872 0.8545
30 F 0.0990 0.7281 0.0442
31 F 0.5707 0.1000 0.8992
32 F 0.5990 0.2719 0.4558
33 F 0.1685 0.7558 0.4472
34 F 0.9293 0.1000 0.3992
35 F 0.8143 0.3872 0.3545
36 F 0.7154 0.9832 0.5021
37 F 0.3028 0.8780 0.6955
38 F 0.6972 0.1220 0.3045
39 F 0.4010 0.7281 0.5442
40 F 0.8315 0.2442 0.5528
41 F 0.4293 0.9000 0.1008
42 F 0.1972 0.8780 0.1955
43 F 0.3143 0.6128 0.1455
44 F 0.8028 0.1220 0.8045

Output
- energy relative to the elements (meV/atom) = -1715.2
- volume (Å³ per cell) = 915.9

3.
This record from the Materials Project describes an optimized crystal structure of Zn3H6C6I2O12. The functional is GGA-PBE.

a b c (Å): 11.6982 10.2037 18.8008
angles (deg): 90.00 126.86 90.00
Fractional coordinates of all 116 atoms:
1 Zn 0.3748 0.9202 0.1324
2 Zn 0.6252 0.4202 0.3676
3 Zn 0.6252 0.0798 0.8676
4 Zn 0.3748 0.5798 0.6324
5 Zn 0.5717 0.1063 0.3124
6 Zn 0.4283 0.6063 0.1876
7 Zn 0.4283 0.8937 0.6876
8 Zn 0.5717 0.3937 0.8124
9 Zn 0.5000 0.0000 0.0000
10 Zn 0.5000 0.5000 0.5000
11 Zn 0.0000 0.0000 0.0000
12 Zn 0.0000 0.5000 0.5000
13 H 0.5043 0.7504 0.3679
14 H 0.4957 0.2504 0.1321
15 H 0.4957 0.2496 0.6321
16 H 0.5043 0.7496 0.8679
17 H 0.7905 0.0365 0.2683
18 H 0.2095 0.5365 0.2317
19 H 0.2095 0.9635 0.7317
20 H 0.7905 0.4635 0.7683
21 H 0.4873 0.6119 0.0442
22 H 0.5127 0.1119 0.4558
23 H 0.5127 0.3881 0.9558
24 H 0.4873 0.8881 0.5442
25 H 0.2492 0.1867 0.2356
26 H 0.7508 0.6867 0.2644
27 H 0.7508 0.8133 0.7644
28 H 0.2492 0.3133 0.7356
29 H 0.2344 0.1559 0.9266
30 H 0.7656 0.6559 0.5734
31 H 0.7656 0.8441 0.0734
32 H 0.2344 0.3441 0.4266
33 H 0.0153 0.7017 0.0080
34 H 0.9847 0.2017 0.4920
35 H 0.9847 0.2983 0.9920
36 H 0.0153 0.7983 0.5080
37 C 0.4976 0.8292 0.3253
38 C 0.5024 0.3292 0.1747
39 C 0.5024 0.1708 0.6747
40 C 0.4976 0.6708 0.8253
41 C 0.6824 0.0150 0.2071
42 C 0.3176 0.5150 0.2929
43 C 0.3176 0.9850 0.7929
44 C 0.6824 0.4850 0.7071
45 C 0.4764 0.7173 0.0525
46 C 0.5236 0.2173 0.4475
47 C 0.5236 0.2827 0.9475
48 C 0.4764 0.7827 0.5525
49 C 0.2308 0.1191 0.1835
50 C 0.7692 0.6191 0.3165
51 C 0.7692 0.8809 0.8165
52 C 0.2308 0.3809 0.6835
53 C 0.2287 0.0963 0.9734
54 C 0.7713 0.5963 0.5266
55 C 0.7713 0.9037 0.0266
56 C 0.2287 0.4037 0.4734
57 C 0.1305 0.7227 0.0547
58 C 0.8695 0.2227 0.4453
59 C 0.8695 0.2773 0.9453
60 C 0.1305 0.7773 0.5547
61 I 0.9413 0.3062 0.2145
62 I 0.0587 0.8062 0.2855
63 I 0.0587 0.6938 0.7855
64 I 0.9413 0.1938 0.7145
65 I 0.8567 0.5388 0.1245
66 I 0.1433 0.0388 0.3755
67 I 0.1433 0.4612 0.8755
68 I 0.8567 0.9612 0.6245
69 O 0.4393 0.7993 0.2440
70 O 0.5607 0.2993 0.2560
71 O 0.5607 0.2007 0.7560
72 O 0.4393 0.7007 0.7440
73 O 0.5476 0.9390 0.3620
74 O 0.4524 0.4390 0.1380
75 O 0.4524 0.0610 0.6380
76 O 0.5476 0.5610 0.8620
77 O 0.5830 0.0064 0.2170
78 O 0.4170 0.5064 0.2830
79 O 0.4170 0.9936 0.7830
80 O 0.5830 0.4936 0.7170
81 O 0.6687 0.0013 0.1362
82 O 0.3313 0.5013 0.3638
83 O 0.3313 0.9987 0.8638
84 O 0.6687 0.4987 0.6362
85 O 0.4546 0.7449 0.1103
86 O 0.5454 0.2449 0.3897
87 O 0.5454 0.2551 0.8897
88 O 0.4546 0.7551 0.6103
89 O 0.4868 0.7965 0.0056
90 O 0.5132 0.2965 0.4944
91 O 0.5132 0.2035 0.9944
92 O 0.4868 0.7035 0.5056
93 O 0.3441 0.0760 0.1950
94 O 0.6559 0.5760 0.3050
95 O 0.6559 0.9240 0.8050
96 O 0.3441 0.4240 0.6950
97 O 0.1036 0.0937 0.1210
98 O 0.8964 0.5937 0.3790
99 O 0.8964 0.9063 0.8790
100 O 0.1036 0.4063 0.6210
101 O 0.3380 0.0215 0.0248
102 O 0.6620 0.5215 0.4752
103 O 0.6620 0.9785 0.9752
104 O 0.3380 0.4785 0.5248
105 O 0.1210 0.1080 0.9719
106 O 0.8790 0.6080 0.5281
107 O 0.8790 0.8920 0.0281
108 O 0.1210 0.3920 0.4719
109 O 0.1663 0.8438 0.0617
110 O 0.8337 0.3438 0.4383
111 O 0.8337 0.1562 0.9383
112 O 0.1663 0.6562 0.5617
113 O 0.2119 0.6261 0.0952
114 O 0.7881 0.1261 0.4048
115 O 0.7881 0.3739 0.9048
116 O 0.2119 0.8739 0.5952

Output
- energy relative to the elements (meV/atom) = -1221.2
- volume (Å³ per cell) = 1795.5

4.
This record from the Materials Project describes an optimized crystal structure of Te2P2O9. The functional is GGA-PBE.

a b c (Å): 7.4493 7.4493 9.7170
angles (deg): 85.16 85.16 137.24
Fractional coordinates of all 26 atoms:
1 Te 0.6310 0.0513 0.4357
2 Te 0.0513 0.6310 0.9357
3 Te 0.6031 0.5410 0.1971
4 Te 0.5410 0.6031 0.6971
5 P 0.0017 0.1954 0.1405
6 P 0.1954 0.0017 0.6405
7 P 0.2209 0.8547 0.2327
8 P 0.8547 0.2209 0.7327
9 O 0.8919 0.2984 0.0921
10 O 0.2984 0.8919 0.5921
11 O 0.3384 0.7728 0.3032
12 O 0.7728 0.3384 0.8032
13 O 0.8963 0.2786 0.5686
14 O 0.2786 0.8963 0.0686
15 O 0.9344 0.1208 0.3053
16 O 0.1208 0.9344 0.8053
17 O 0.5127 0.7283 0.5264
18 O 0.7283 0.5127 0.0264
19 O 0.3566 0.1234 0.2740
20 O 0.1234 0.3566 0.7740
21 O 0.3136 0.4215 0.0810
22 O 0.4215 0.3136 0.5810
23 O 0.8672 0.9395 0.0829
24 O 0.9395 0.8672 0.5829
25 O 0.9084 0.6266 0.2895
26 O 0.6266 0.9084 0.7895

Output
- energy relative to the elements (meV/atom) = -2121.2
- volume (Å³ per cell) = 356.2

5.
This record from the Materials Project describes an optimized crystal structure of Cs2KNdBr6. The functional is GGA-PBE.

a b c (Å): 8.5777 8.5777 8.5777
angles (deg): 60.00 60.00 60.00
Fractional coordinates of all 10 atoms:
1 Cs 0.7500 0.7500 0.7500
2 Cs 0.2500 0.2500 0.2500
3 K 0.5000 0.5000 0.5000
4 Nd 0.0000 0.0000 0.0000
5 Br 0.7618 0.2382 0.2382
6 Br 0.2382 0.2382 0.7618
7 Br 0.2382 0.7618 0.7618
8 Br 0.2382 0.7618 0.2382
9 Br 0.7618 0.2382 0.7618
10 Br 0.7618 0.7618 0.2382

Output
- energy relative to the elements (meV/atom) = -2177.9
- volume (Å³ per cell) = 446.3

6.
This record from the Materials Project describes an optimized crystal structure of K4PH5S3O16. The functional is GGA-PBE.

a b c (Å): 7.3874 7.6181 7.6447
angles (deg): 70.79 87.85 85.53
Fractional coordinates of all 29 atoms:
1 K 0.1619 0.1866 0.3362
2 K 0.4654 0.2566 0.7766
3 K 0.5373 0.7431 0.2237
4 K 0.8384 0.8093 0.6638
5 P 0.9599 0.2771 0.8093
6 H 0.0100 0.4735 0.5246
7 H 0.1209 0.0550 0.0446
8 H 0.2508 0.5809 0.9661
9 H 0.7500 0.4206 0.0307
10 H 0.8687 0.9894 0.9156
11 S 0.0355 0.7235 0.1979
12 S 0.3732 0.7798 0.7231
13 S 0.6270 0.2213 0.2756
14 O 0.0593 0.3466 0.6158
15 O 0.1160 0.1945 0.9524
16 O 0.1550 0.5691 0.1690
17 O 0.1493 0.8815 0.1897
18 O 0.2057 0.8968 0.6596
19 O 0.3137 0.5774 0.8468
20 O 0.5191 0.1497 0.1582
21 O 0.4823 0.7377 0.5764
22 O 0.5173 0.2627 0.4234
23 O 0.4806 0.8494 0.8423
24 O 0.6853 0.4218 0.1522
25 O 0.7942 0.1039 0.3403
26 O 0.8444 0.1116 0.8070
27 O 0.8408 0.4320 0.8443
28 O 0.8941 0.7921 0.0516
29 O 0.9439 0.6565 0.3834

Output
- piezoelectric modulus e_max (C/m²) = 0.14
- energy relative to the elements (meV/atom) = -2025.7
- volume (Å³ per cell) = 405.0

7.
This record from the Materials Project describes an optimized crystal structure of SbAsAuF9. The functional is GGA-PBE.

a b c (Å): 9.2931 8.1484 12.9657
angles (deg): 57.50 90.00 90.00
Fractional coordinates of all 48 atoms:
1 Sb 0.6753 0.6624 0.0784
2 Sb 0.1753 0.3376 0.4216
3 Sb 0.8247 0.6624 0.5784
4 Sb 0.3247 0.3376 0.9216
5 As 0.6361 0.1362 0.6137
6 As 0.1361 0.8638 0.8863
7 As 0.8639 0.1362 0.1137
8 As 0.3639 0.8638 0.3863
9 Au 0.7076 0.3774 0.4185
10 Au 0.2076 0.6226 0.0815
11 Au 0.7924 0.3774 0.9185
12 Au 0.2924 0.6226 0.5815
13 F 0.6862 0.9357 0.0125
14 F 0.1782 0.6165 0.3367
15 F 0.7498 0.6234 0.2348
16 F 0.5354 0.1996 0.6991
17 F 0.1034 0.3095 0.5679
18 F 0.0289 0.0508 0.8686
19 F 0.4854 0.6509 0.1396
20 F 0.3713 0.3345 0.4701
21 F 0.8713 0.6655 0.0299
22 F 0.2654 0.0012 0.7784
23 F 0.9854 0.3491 0.3604
24 F 0.7654 0.9988 0.7216
25 F 0.2498 0.3766 0.2652
26 F 0.6782 0.3835 0.1633
27 F 0.5289 0.9492 0.6314
28 F 0.6034 0.6905 0.9321
29 F 0.0354 0.8004 0.8009
30 F 0.1862 0.0643 0.4875
31 F 0.8138 0.9357 0.5125
32 F 0.9646 0.1996 0.1991
33 F 0.3966 0.3095 0.0679
34 F 0.4711 0.0508 0.3686
35 F 0.3218 0.6165 0.8367
36 F 0.7502 0.6234 0.7348
37 F 0.2346 0.0012 0.2784
38 F 0.0146 0.6509 0.6396
39 F 0.7346 0.9988 0.2216
40 F 0.1287 0.3345 0.9701
41 F 0.6287 0.6655 0.5299
42 F 0.5146 0.3491 0.8604
43 F 0.9711 0.9492 0.1314
44 F 0.8966 0.6905 0.4321
45 F 0.4646 0.8004 0.3009
46 F 0.2502 0.3766 0.7652
47 F 0.8218 0.3835 0.6633
48 F 0.3138 0.0643 0.9875

Output
- energy relative to the elements (meV/atom) = -2291.9
- volume (Å³ per cell) = 828.0

8.
This record from the Materials Project describes an optimized crystal structure of PuPt4. The functional is GGA-PBE.

a b c (Å): 5.0319 5.0319 4.3704
angles (deg): 90.00 90.00 115.12
Fractional coordinates of all 5 atoms:
1 Pu 0.0000 0.0000 0.0000
2 Pt 0.6586 0.3414 0.0000
3 Pt 0.3414 0.6586 0.0000
4 Pt 0.0000 0.5000 0.5000
5 Pt 0.5000 0.0000 0.5000

Output
- energy relative to the elements (meV/atom) = -401.6
- volume (Å³ per cell) = 100.2

9.
This record from the Materials Project describes an optimized crystal structure of Eu2MgPtO6. The functional is GGA-PBE.

a b c (Å): 5.7061 5.5427 9.6472
angles (deg): 54.95 90.00 90.00
Fractional coordinates of all 20 atoms:
1 Eu 0.4439 0.2398 0.7475
2 Eu 0.5561 0.7602 0.2525
3 Eu 0.9439 0.7602 0.7525
4 Eu 0.0561 0.2398 0.2475
5 Mg 0.0000 0.5000 0.5000
6 Mg 0.5000 0.5000 0.0000
7 Pt 0.0000 0.0000 0.0000
8 Pt 0.5000 0.0000 0.5000
9 O 0.0326 0.3436 0.7528
10 O 0.9674 0.6564 0.2472
11 O 0.5326 0.6564 0.7472
12 O 0.4674 0.3436 0.2528
13 O 0.7066 0.8586 0.9480
14 O 0.2934 0.1414 0.0520
15 O 0.2066 0.1414 0.5520
16 O 0.7934 0.8586 0.4480
17 O 0.1966 0.7493 0.9530
18 O 0.8034 0.2507 0.0470
19 O 0.6966 0.2507 0.5470
20 O 0.3034 0.7493 0.4530

Output
- energy relative to the elements (meV/atom) = -2538.8
- volume (Å³ per cell) = 249.8

10.
This record from the Materials Project describes an optimized crystal structure of ZnCdSe2. The functional is GGA-PBE.

a b c (Å): 7.3344 7.3344 7.3343
angles (deg): 33.48 33.48 33.48
Fractional coordinates of all 4 atoms:
1 Zn 0.4998 0.4998 0.4998
2 Cd 0.0008 0.0008 0.0008
3 Se 0.1303 0.1303 0.1303
4 Se 0.6190 0.6190 0.6190

Output
- energy relative to the elements (meV/atom) = -877.5
- volume (Å³ per cell) = 106.9

11.
This record from the Materials Project describes an optimized crystal structure of LaYTi2O6. The functional is GGA-PBE.

a b c (Å): 5.4784 5.7110 7.8233
angles (deg): 90.00 90.00 90.00
Fractional coordinates of all 20 atoms:
1 La 0.2356 0.4457 0.5000
2 La 0.7644 0.9457 0.5000
3 Y 0.2635 0.5690 0.0000
4 Y 0.7365 0.0690 0.0000
5 Ti 0.7506 0.5019 0.7556
6 Ti 0.2494 0.0019 0.2444
7 Ti 0.7506 0.5019 0.2444
8 Ti 0.2494 0.0019 0.7556
9 O 0.1368 0.9604 0.0000
10 O 0.8632 0.4604 0.0000
11 O 0.3290 0.0169 0.5000
12 O 0.6710 0.5169 0.5000
13 O 0.5528 0.8008 0.8091
14 O 0.4472 0.3008 0.1909
15 O 0.9459 0.2014 0.2891
16 O 0.0541 0.7014 0.7109
17 O 0.9459 0.2014 0.7109
18 O 0.0541 0.7014 0.2891
19 O 0.5528 0.8008 0.1909
20 O 0.4472 0.3008 0.8091

Output
- energy relative to the elements (meV/atom) = -3612.5
- volume (Å³ per cell) = 244.8

Q: What is the formula in the first record?
A: CeBPt2